## MgCd2Ni4O8 (PBE+U)

Data for a geometry-optimized MgCd2Ni4O8 structure.

Energy above the lowest structure with this stoichiometry (meV per atom): 75

abc: 6.0207 6.2944 6.3091
angles: 61.07 62.03 62.91
Space group P1 (No. 1)
Inequivalent atoms, fractional coordinates:
Mg 0.0000 0.0000 0.0000 [1 per cell]
Cd 0.3272 0.7312 0.6775 [1 per cell]
Cd 0.9367 0.5988 0.5445 [1 per cell]
Ni 0.0429 0.2541 0.1842 [1 per cell]
Ni 0.5331 0.2272 0.1655 [1 per cell]
Ni 0.5803 0.6992 0.1293 [1 per cell]
Ni 0.5825 0.1787 0.6488 [1 per cell]
O 0.3337 0.0032 0.3203 [1 per cell]
O 0.3613 0.3594 0.9234 [1 per cell]
O 0.3643 0.4647 0.3693 [1 per cell]
O 0.3792 0.9077 0.8886 [1 per cell]
O 0.7729 0.4793 0.3791 [1 per cell]
O 0.7906 0.0165 0.3570 [1 per cell]
O 0.8168 0.3845 0.9511 [1 per cell]
O 0.8243 0.9047 0.8827 [1 per cell]

## MgCd2Ni4O8 (PBE+U)

Data for a geometry-optimized MgCd2Ni4O8 structure.

Energy above the lowest structure with this stoichiometry (meV per atom): 0

abc: 5.7999 6.1023 6.2901
angles: 64.12 89.80 61.63
Space group P1 (No. 1)
Inequivalent atoms, fractional coordinates:
Mg 0.0000 0.0000 0.0000 [1 per cell]
Cd 0.2060 0.5704 0.4963 [1 per cell]
Cd 0.9394 0.1221 0.4979 [1 per cell]
Ni 0.0036 0.4888 0.0096 [1 per cell]
Ni 0.5073 0.4896 0.0091 [1 per cell]
Ni 0.5175 0.9643 0.0364 [1 per cell]
Ni 0.5480 0.9030 0.5487 [1 per cell]
O 0.2317 0.5336 0.1811 [1 per cell]
O 0.2620 0.9736 0.2772 [1 per cell]
O 0.2917 0.9445 0.7899 [1 per cell]
O 0.3045 0.3917 0.8707 [1 per cell]
O 0.7283 0.5428 0.1828 [1 per cell]
O 0.7614 0.9729 0.2760 [1 per cell]
O 0.7670 0.9417 0.7902 [1 per cell]
O 0.7763 0.4513 0.8210 [1 per cell]

## Mg14CdNiO16 (PBE+U)

Data for a geometry-optimized Mg14CdNiO16 structure.

Uncorrected energy (eV/atom): -5.759

abc: 8.5907 8.5907 4.3070
angles: 90.00 90.00 90.00
Space group P4/mmm (No. 123)
Inequivalent atoms, fractional coordinates:
Mg 0.0000 0.2483 0.0000 [4 per cell]
Mg 0.0000 0.5000 0.5000 [2 per cell]
Mg 0.2446 0.5000 0.0000 [4 per cell]
Mg 0.2469 0.2469 0.5000 [4 per cell]
Cd 0.5000 0.5000 0.5000 [1 per cell]
Ni 0.0000 0.0000 0.5000 [1 per cell]
O 0.0000 0.0000 0.0000 [1 per cell]
O 0.0000 0.2482 0.5000 [4 per cell]
O 0.0000 0.5000 0.0000 [2 per cell]
O 0.2344 0.5000 0.5000 [4 per cell]
O 0.2502 0.2502 0.0000 [4 per cell]
O 0.5000 0.5000 0.0000 [1 per cell]